1.
This record from the Materials Project describes crystalline LiYS2 at its relaxed geometry. The functional is r²SCAN.

Properties
Total energy, eV per atom: -11.81
ΔE_f, eV/f.u.: -8.469
V, A^3/atom: 20.27

Lattice parameters (Å, degrees): 3.9069 3.9069 18.4045 90.00 90.00 120.00
Last column: nearest neighbours and their distance in Å.
Space group R-3m (No. 166, hexagonal axes)
Symmetry-distinct sites (fractional):
Li 0.0000 0.0000 0.0000 x3  6 S 2.72
Y 0.0000 0.0000 0.5000 x3  6 S 2.73
S 0.0000 0.0000 0.2504 x6  3 Li 2.72, 3 Y 2.73

2.
This record from the Materials Project describes crystalline Yb2GaNi2 at its relaxed geometry. The functional is r²SCAN.

Properties
Total energy, eV per atom: -22.33
ΔE_f, eV/f.u.: -3.204
V, A^3/atom: 17.30

Lattice parameters (Å, degrees): 4.1231 5.2431 8.0006 90.00 90.00 90.00
Last column: nearest neighbours and their distance in Å.
Space group Immm (No. 71)
Symmetry-distinct sites (fractional):
Yb 0.0000 0.0000 0.2014 x4  6 Ni 2.77-2.89, 2 Ga 3.08
Ga 0.0000 0.5000 0.0000 x2  4 Ni 2.49
Ni 0.0000 0.2671 0.5000 x4  1 Ni 2.44, 2 Ga 2.49

3.
This record from the Materials Project describes crystalline CsVI3 at its relaxed geometry. The functional is r²SCAN.

Properties
Total energy, eV per atom: -23.82
ΔE_f, eV/f.u.: -6.222
V, A^3/atom: 40.79

Lattice parameters (Å, degrees): 8.2311 8.2311 6.9511 90.00 90.00 120.00
Last column: nearest neighbours and their distance in Å.
Space group P6_3/mmc (No. 194)
Symmetry-distinct sites (fractional):
Cs 0.3333 0.6667 0.2500 x2  12 I 4.12-4.26
V 0.0000 0.0000 0.0000 x2  6 I 2.87
I 0.1601 0.3201 0.7500 x6  2 V 2.87

4.
This record from the Materials Project describes crystalline Sr3Pt2 at its relaxed geometry. The functional is r²SCAN.

Properties
Total energy, eV per atom: -30.47
ΔE_f, eV/f.u.: -3.942
V, A^3/atom: 29.95

Lattice parameters (Å, degrees): 9.3680 9.3680 17.7350 90.00 90.00 120.00
Last column: nearest neighbours and their distance in Å.
Space group R-3 (No. 148, hexagonal axes)
Symmetry-distinct sites (fractional):
Sr 0.0000 0.0000 0.0000 x3  6 Pt 3.23, 2 Sr 3.58
Sr 0.0000 0.0000 0.2021 x6  6 Pt 3.06-3.21
Sr 0.0162 0.2669 0.5937 x18  4 Pt 3.14-3.19
Pt 0.0220 0.6049 0.5648 x18  1 Pt 2.92, 7 Sr 3.06-3.23

5.
This record from the Materials Project describes crystalline Er4Ga12Ni at its relaxed geometry. The functional is r²SCAN.

Properties
Total energy, eV per atom: -17.35
ΔE_f, eV/f.u.: -10.022
V, A^3/atom: 17.73

Lattice parameters (Å, degrees): 8.4479 8.4479 8.4479 90.00 90.00 90.00
Last column: nearest neighbours and their distance in Å.
Space group Im-3m (No. 229)
Symmetry-distinct sites (fractional):
Er 0.2500 0.2500 0.2500 x8  12 Ga 2.99-3.00
Ga 0.0000 0.0000 0.2878 x12  1 Ni 2.43
Ga 0.0000 0.2500 0.5000 x12  8 Ga 2.77-2.99, 4 Er 2.99
Ni 0.0000 0.0000 0.0000 x2  6 Ga 2.43

6.
This record from the Materials Project describes crystalline Te at its relaxed geometry. The functional is r²SCAN.

Properties
Total energy, eV per atom: -25.25
ΔE_f, eV/f.u.: 0.167
Polymorph energy (0 for the lowest one), eV/atom: 0.1669
V, A^3/atom: 35.20

Lattice parameters (Å, degrees): 5.9156 7.7519 3.0703 90.00 90.00 90.00
Last column: nearest neighbours and their distance in Å.
Space group Imma (No. 74)
Symmetry-distinct sites (fractional):
Te 0.0000 0.2500 0.2491 x4  4 Te 2.96-3.07

7.
This record from the Materials Project describes crystalline NaCdN at its relaxed geometry. The functional is r²SCAN.

Properties
Total energy, eV per atom: -10.72
ΔE_f, eV/f.u.: 0.629
V, A^3/atom: 15.69

Lattice parameters (Å, degrees): 7.8836 3.9386 6.0654 90.00 90.00 90.00
Last column: nearest neighbours and their distance in Å.
Space group Pnma (No. 62)
Symmetry-distinct sites (fractional):
Na 0.1075 0.2500 0.1400 x4  3 N 2.43-2.47
Cd 0.1338 0.2500 0.6061 x4  4 N 2.30-2.43
N 0.1610 0.7500 0.3750 x4  4 Cd 2.30-2.43, 3 Na 2.43-2.47

8.
This record from the Materials Project describes crystalline Rb2ErCl5 at its relaxed geometry. The functional is r²SCAN.

Properties
Total energy, eV per atom: -13.98
ΔE_f, eV/f.u.: -19.263
V, A^3/atom: 31.44

Lattice parameters (Å, degrees): 9.3592 7.3062 14.7135 90.00 90.00 90.00
Last column: nearest neighbours and their distance in Å.
Space group Pnma (No. 62)
Symmetry-distinct sites (fractional):
Rb 0.0315 0.2500 0.2088 x4  6 Cl 3.25-3.59
Rb 0.1700 0.7500 0.4154 x4  7 Cl 3.33-3.69
Er 0.1883 0.7500 0.0629 x4  6 Cl 2.53-2.70
Cl 0.0000 0.0000 0.0000 x4  2 Er 2.70
Cl 0.0337 0.7500 0.2066 x4  1 Er 2.56
Cl 0.1501 0.5087 0.6125 x8  1 Er 2.53
Cl 0.2183 0.2500 0.3954 x4  1 Er 2.62